The following is a PBE+U calculation of an optimized crystal structure of Sr2MnClO3, from the Materials Project database.

* formation energy from the elements: -255 kJ/mol of atoms
* V: 16.34 A^3/atom

```
data_Sr2MnClO3
_cell_length_a 3.9213
_cell_length_b 3.9211
_cell_length_c 14.8781
_cell_angle_alpha 90.00
_cell_angle_beta 90.00
_cell_angle_gamma 90.01
_symmetry_space_group_name_H-M 'P 1'
_symmetry_Int_Tables_number 1
loop_
_symmetry_equiv_pos_as_xyz
'x,y,z'
loop_
_atom_site_label
_atom_site_type_symbol
_atom_site_fract_x
_atom_site_fract_y
_atom_site_fract_z
Sr1 Sr 0.2500 0.2500 0.0906
Sr2 Sr 0.7500 0.7500 0.9094
Sr3 Sr 0.2500 0.2500 0.3418
Sr4 Sr 0.7500 0.7500 0.6582
Mn1 Mn 0.7500 0.7500 0.2104
Mn2 Mn 0.2500 0.2500 0.7896
Cl1 Cl 0.7500 0.7500 0.4226
Cl2 Cl 0.2500 0.2500 0.5774
O1 O 0.7500 0.2500 0.2310
O2 O 0.2500 0.7500 0.2310
O3 O 0.2500 0.7500 0.7690
O4 O 0.7500 0.2500 0.7690
O5 O 0.7500 0.7500 0.0741
O6 O 0.2500 0.2500 0.9259
```